1.
# SN, relaxed, DFT GGA-PBE
# E_form ... 550 meV/atom
data_SN
_cell_length_a 5.2922
_cell_length_b 4.9787
_cell_length_c 27.6682
_cell_angle_alpha 90.00
_cell_angle_beta 90.54
_cell_angle_gamma 90.00
_space_group_name_H-M_alt 'P 1'
_space_group_IT_number 1
_space_group_name_Hall 'P 1'
loop_
_atom_site_label
_atom_site_type_symbol
_atom_site_fract_x
_atom_site_fract_y
_atom_site_fract_z
S1 S 0.0011 0.0000 0.3338
S2 S 0.0646 0.4399 0.1165
S3 S 0.0917 0.9796 0.7252
S4 S 0.1550 0.1005 0.4950
S5 S 0.3885 0.6829 0.1464
S6 S 0.4191 0.0240 0.9743
S7 S 0.4402 0.3491 0.6074
S8 S 0.4684 0.2556 0.4134
S9 S 0.4771 0.7083 0.7963
S10 S 0.5229 0.2083 0.2037
S11 S 0.5316 0.7556 0.5866
S12 S 0.5598 0.8491 0.3926
S13 S 0.5809 0.5240 0.0257
S14 S 0.6115 0.1829 0.8536
S15 S 0.8450 0.6005 0.5050
S16 S 0.9083 0.4796 0.2748
S17 S 0.9354 0.9399 0.8835
S18 S 0.9989 0.5000 0.6662
N1 N 0.0304 0.3433 0.5240
N2 N 0.1086 0.1482 0.1218
N3 N 0.1432 0.4371 0.2394
N4 N 0.1439 0.7670 0.6825
N5 N 0.1673 0.3256 0.6315
N6 N 0.2013 0.2392 0.4388
N7 N 0.2914 0.2292 0.2430
N8 N 0.4315 0.9412 0.8339
N9 N 0.4457 0.7103 0.9852
N10 N 0.5543 0.2103 0.0148
N11 N 0.5685 0.4412 0.1661
N12 N 0.7086 0.7292 0.7570
N13 N 0.7987 0.7392 0.5612
N14 N 0.8327 0.8256 0.3685
N15 N 0.8561 0.2670 0.3175
N16 N 0.8568 0.9371 0.7606
N17 N 0.8914 0.6482 0.8782
N18 N 0.9696 0.8433 0.4760



2.
# S3N2, relaxed, DFT GGA-PBE
# E_form ... 445 meV/atom
data_S3N2
_cell_length_a 8.7363
_cell_length_b 24.4198
_cell_length_c 4.2976
_cell_angle_alpha 90.00
_cell_angle_beta 90.00
_cell_angle_gamma 90.00
_space_group_name_H-M_alt 'P 1'
_space_group_IT_number 1
_space_group_name_Hall 'P 1'
loop_
_atom_site_label
_atom_site_type_symbol
_atom_site_fract_x
_atom_site_fract_y
_atom_site_fract_z
S1 S 0.0000 0.0444 0.0000
S2 S 0.2273 0.9580 0.9277
S3 S 0.2727 0.0420 0.4277
S4 S 0.5000 0.9556 0.5000
S5 S 0.7273 0.0420 0.4277
S6 S 0.7727 0.9580 0.9277
N1 N 0.1573 0.0097 0.1340
N2 N 0.3427 0.9903 0.6340
N3 N 0.6573 0.9903 0.6340
N4 N 0.8427 0.0097 0.1340



3.
# SN, relaxed, DFT GGA-PBE
# E_form ... 1126 meV/atom
data_SN
_cell_length_a 3.6423
_cell_length_b 3.6423
_cell_length_c 3.6339
_cell_angle_alpha 90.00
_cell_angle_beta 90.00
_cell_angle_gamma 90.00
_space_group_name_H-M_alt 'P 1'
_space_group_IT_number 1
_space_group_name_Hall 'P 1'
loop_
_atom_site_label
_atom_site_type_symbol
_atom_site_fract_x
_atom_site_fract_y
_atom_site_fract_z
S1 S 0.2500 0.2500 0.1785
S2 S 0.7500 0.7500 0.8215
N1 N 0.2500 0.7500 0.0000
N2 N 0.7500 0.2500 0.0000



4.
# SN, relaxed, DFT GGA-PBE
# E_form ... 723 meV/atom
data_SN
_cell_length_a 3.8835
_cell_length_b 7.0762
_cell_length_c 29.2241
_cell_angle_alpha 90.00
_cell_angle_beta 91.75
_cell_angle_gamma 90.00
_space_group_name_H-M_alt 'P 1'
_space_group_IT_number 1
_space_group_name_Hall 'P 1'
loop_
_atom_site_label
_atom_site_type_symbol
_atom_site_fract_x
_atom_site_fract_y
_atom_site_fract_z
S1 S 0.0761 0.0123 0.1923
S2 S 0.0866 0.0000 0.5875
S3 S 0.1643 0.9056 0.8272
S4 S 0.1752 0.9610 0.9881
S5 S 0.1841 0.0347 0.3818
S6 S 0.3161 0.0562 0.9141
S7 S 0.3574 0.1775 0.3092
S8 S 0.3583 0.0646 0.6973
S9 S 0.3833 0.1156 0.5131
S10 S 0.6167 0.6156 0.4869
S11 S 0.6417 0.5646 0.3027
S12 S 0.6426 0.6775 0.6908
S13 S 0.6839 0.5562 0.0859
S14 S 0.8159 0.5347 0.6182
S15 S 0.8248 0.4610 0.0119
S16 S 0.8357 0.4056 0.1728
S17 S 0.9134 0.5000 0.4125
S18 S 0.9239 0.5123 0.8077
N1 N 0.0806 0.2560 0.1966
N2 N 0.1154 0.9052 0.8816
N3 N 0.1262 0.3360 0.0076
N4 N 0.1295 0.4190 0.6254
N5 N 0.1671 0.4196 0.8401
N6 N 0.2092 0.3656 0.4188
N7 N 0.3211 0.7463 0.4778
N8 N 0.3312 0.6350 0.2780
N9 N 0.3359 0.8186 0.6814
N10 N 0.6641 0.3186 0.3186
N11 N 0.6688 0.1349 0.7220
N12 N 0.6789 0.2463 0.5222
N13 N 0.7908 0.8656 0.5812
N14 N 0.8329 0.9196 0.1599
N15 N 0.8705 0.9190 0.3746
N16 N 0.8738 0.8360 0.9924
N17 N 0.8846 0.4052 0.1184
N18 N 0.9194 0.7560 0.8034